Below is a geometry-optimized RbTi5Se8 structure, with properties calculated at the r²SCAN level.

The space group is C2/m (No. 12) and the conventional cell measures 19.066, 3.666 and 9.187 Å, with angles of 90.00, 104.12 and 90.00 degrees. The distinct sites, in fractional coordinates, are Rb at (0.000, 0.000, 0.000), Ti at (0.000, 0.500, 0.500), Ti at (0.154, 0.000, 0.494), Ti at (0.209, 0.000, 0.850), Se at (0.073, 0.000, 0.672), Se at (0.088, 0.500, 0.323), Se at (0.163, 0.500, 0.997) and Se at (0.240, 0.500, 0.659).

The total energy is -15.201 eV per atom. As for the calculated formation energy: -1.407 eV/atom. The crystal system is monoclinic.

Below is a geometry-optimized SrI2O6 structure, with properties calculated at the r²SCAN level.

The space group is P2_12_12_1 (No. 19) and the conventional cell measures 5.981, 6.038 and 17.800 Å, with angles of 90.00, 90.00 and 90.00 degrees. The distinct sites, in fractional coordinates, are Sr at (0.208, 0.190, 0.097), I at (0.053, 0.848, 0.923), I at (0.248, 0.274, 0.785), O at (0.018, 0.536, 0.287), O at (0.022, 0.577, 0.515), O at (0.035, 0.454, 0.825), O at (0.116, 0.452, 0.655), O at (0.146, 0.154, 0.537) and O at (0.169, 0.872, 0.371).

The total energy is -12.270 eV per atom. As for the calculated formation energy: -1.148 eV/atom. The crystal system is orthorhombic.

Below is a geometry-optimized KMg14Zn structure, with properties calculated at the r²SCAN level.

The space group is P-6m2 (No. 187) and the conventional cell measures 6.4603, 6.4603 and 10.4117 Å, with angles of 90.00, 90.00 and 120.00 degrees. The distinct sites, in fractional coordinates, are K at (0.0000, 0.0000, 0.0000), Mg at (0.0077, 0.5039, 0.0000), Mg at (0.1668, 0.3337, 0.2692), Mg at (0.5043, 0.0087, 0.5000), Mg at (0.6667, 0.3333, 0.2447) and Zn at (0.0000, 0.0000, 0.5000).

The total energy is -4.455 eV per atom. As for the calculated formation energy: 0.126 eV/atom. The crystal system is hexagonal.

Below is a geometry-optimized PrVSb3 structure, with properties calculated at the r²SCAN level.

The space group is Pbcm (No. 57) and the conventional cell measures 13.250, 6.202 and 6.272 Å, with angles of 90.00, 90.00 and 90.00 degrees. The distinct sites, in fractional coordinates, are Pr at (0.188, 0.002, 0.250), V at (0.407, 0.750, 0.000), Sb at (0.001, 0.750, 0.000), Sb at (0.282, 0.004, 0.750) and Sb at (0.435, 0.106, 0.250).

The total energy is -24.787 eV per atom. As for the calculated formation energy: -0.664 eV/atom. The crystal system is orthorhombic.

Below is a geometry-optimized Lu2Ga3Cu structure, with properties calculated at the r²SCAN level.

The space group is P3m1 (No. 156) and the conventional cell measures 4.2820, 4.2820 and 6.9800 Å, with angles of 90.00, 90.00 and 120.00 degrees. The distinct sites, in fractional coordinates, are Lu at (0.0000, 0.0000, 0.0000), Lu at (0.0000, 0.0000, 0.4686), Ga at (0.3333, 0.6667, 0.2142), Ga at (0.3333, 0.6667, 0.7852), Ga at (0.6667, 0.3333, 0.6856) and Cu at (0.6667, 0.3333, 0.2772).

The total energy is -20.875 eV per atom. As for the calculated formation energy: -0.652 eV/atom. The crystal system is trigonal.

Below is a geometry-optimized CdRh2O4 structure, with properties calculated at the r²SCAN level.

The space group is Fd-3m (No. 227, origin choice 2) and the conventional cell measures 8.812, 8.812 and 8.812 Å, with angles of 90.00, 90.00 and 90.00 degrees. The distinct sites, in fractional coordinates, are Cd at (0.125, 0.125, 0.125), Rh at (0.000, 0.000, 0.500) and O at (0.018, 0.018, 0.732).

The total energy is -14.237 eV per atom. As for the calculated formation energy: -1.056 eV/atom. The crystal system is cubic.

Below is a geometry-optimized Ac3Sn structure, with properties calculated at the r²SCAN level.

The space group is Pm-3m (No. 221) and the conventional cell measures 5.317, 5.317 and 5.317 Å, with angles of 90.00, 90.00 and 90.00 degrees. The distinct sites, in fractional coordinates, are Ac at (0.000, 0.000, 0.500) and Sn at (0.500, 0.500, 0.500).

The total energy is -58.046 eV per atom. As for the calculated formation energy: -0.382 eV/atom. The crystal system is cubic.

Below is a geometry-optimized Pr3OsI3 structure, with properties calculated at the r²SCAN level.

The space group is P2_1/m (No. 11) and the conventional cell measures 9.336, 4.360 and 12.671 Å, with angles of 90.00, 92.95 and 90.00 degrees. The distinct sites, in fractional coordinates, are Pr at (0.097, 0.250, 0.390), Pr at (0.117, 0.250, 0.831), Pr at (0.308, 0.750, 0.619), Os at (0.109, 0.250, 0.620), I at (0.133, 0.250, 0.117), I at (0.369, 0.750, 0.876) and I at (0.396, 0.750, 0.367).

The total energy is -31.844 eV per atom. As for the calculated formation energy: -1.148 eV/atom. The crystal system is monoclinic.

Below is a geometry-optimized K3CuO2 structure, with properties calculated at the r²SCAN level.

The space group is P4_12_12 (No. 92) and the conventional cell measures 8.583, 8.583 and 13.172 Å, with angles of 90.00, 90.00 and 90.00 degrees. The distinct sites, in fractional coordinates, are K at (0.025, 0.025, 0.000), K at (0.035, 0.437, 0.000), K at (0.057, 0.943, 0.250), K at (0.148, 0.734, 0.857), Cu at (0.233, 0.236, 0.167), O at (0.023, 0.237, 0.167) and O at (0.058, 0.733, 0.079).

The total energy is -8.011 eV per atom. As for the calculated formation energy: -1.203 eV/atom. The crystal system is tetragonal.

Below is a geometry-optimized La2CuBiS5 structure, with properties calculated at the r²SCAN level.

The space group is Pnma (No. 62) and the conventional cell measures 12.030, 4.000 and 17.061 Å, with angles of 90.00, 90.00 and 90.00 degrees. The distinct sites, in fractional coordinates, are La at (0.033, 0.250, 0.173), La at (0.126, 0.750, 0.597), Cu at (0.092, 0.750, 0.998), Bi at (0.200, 0.750, 0.363), S at (0.011, 0.250, 0.702), S at (0.086, 0.250, 0.927), S at (0.106, 0.250, 0.469), S at (0.191, 0.750, 0.111) and S at (0.236, 0.750, 0.766).

The total energy is -20.357 eV per atom. As for the calculated formation energy: -1.578 eV/atom. The crystal system is orthorhombic.

Below is a geometry-optimized PuZnAu2 structure, with properties calculated at the r²SCAN level.

The space group is Fm-3m (No. 225) and the conventional cell measures 6.913, 6.913 and 6.913 Å, with angles of 90.00, 90.00 and 90.00 degrees. The distinct sites, in fractional coordinates, are Pu at (0.000, 0.000, 0.000), Zn at (0.000, 0.000, 0.500) and Au at (0.250, 0.250, 0.250).

The total energy is -49.549 eV per atom. As for the calculated formation energy: -0.440 eV/atom. The crystal system is cubic.

Below is a geometry-optimized Cs3FeF6 structure, with properties calculated at the r²SCAN level.

The space group is Fm-3m (No. 225) and the conventional cell measures 9.459, 9.459 and 9.459 Å, with angles of 90.00, 90.00 and 90.00 degrees. The distinct sites, in fractional coordinates, are Cs at (0.000, 0.000, 0.000), Cs at (0.250, 0.250, 0.250), Fe at (0.000, 0.000, 0.500) and F at (0.000, 0.000, 0.295).

The total energy is -13.726 eV per atom. As for the calculated formation energy: -2.876 eV/atom. The crystal system is cubic.